AgAsF7: relaxed, meta-GGA r2SCAN.

Total magnetization in μB/f.u.: 0.24
SG: Pnma (62)
Crystal system: orthorhombic
Calculated formation energy in eV/atom: -1.92
E in eV per atom: -8.362

Cell: 7.7030 6.9801 9.7735 Å, 90.00 90.00 90.00°
With the nearest neighbours (Å) after each atom.
Element x y z (fractional)
Ag 0.1353 0.2500 0.2423  2 F 2.01
Ag 0.3647 0.7500 0.7423  2 F 2.01
Ag 0.6353 0.2500 0.2577  2 F 2.01
Ag 0.8647 0.7500 0.7577  2 F 2.01
As 0.1997 0.7500 0.0600  6 F 1.71-1.76
As 0.3003 0.2500 0.5600  6 F 1.71-1.76
As 0.6997 0.7500 0.4400  6 F 1.71-1.76
As 0.8003 0.2500 0.9400  6 F 1.71-1.76
F 0.0065 0.2500 0.0176  1 As 1.76
F 0.1001 0.2500 0.6354  1 As 1.71
F 0.1116 0.7500 0.6926  2 Ag 2.01
F 0.1251 0.5730 0.1721  1 As 1.75
F 0.1251 0.9270 0.1721  1 As 1.75
F 0.2334 0.0746 0.4419  1 As 1.76
F 0.2334 0.4254 0.4419  1 As 1.76
F 0.2666 0.5746 0.9419  1 As 1.76
F 0.2666 0.9254 0.9419  1 As 1.76
F 0.3749 0.0730 0.6721  1 As 1.75
F 0.3749 0.4270 0.6721  1 As 1.75
F 0.3884 0.2500 0.1926  2 Ag 2.01
F 0.3999 0.7500 0.1354  1 As 1.71
F 0.4935 0.7500 0.5176  1 As 1.76
F 0.5065 0.2500 0.4824  1 As 1.76
F 0.6001 0.2500 0.8646  1 As 1.71
F 0.6116 0.7500 0.8074  2 Ag 2.01
F 0.6251 0.5730 0.3279  1 As 1.75
F 0.6251 0.9270 0.3279  1 As 1.75
F 0.7334 0.0746 0.0581  1 As 1.76
F 0.7334 0.4254 0.0581  1 As 1.76
F 0.7666 0.5746 0.5581  1 As 1.76
F 0.7666 0.9254 0.5581  1 As 1.76
F 0.8749 0.0730 0.8279  1 As 1.75
F 0.8749 0.4270 0.8279  1 As 1.75
F 0.8884 0.2500 0.3074  2 Ag 2.01
F 0.8999 0.7500 0.3646  1 As 1.71
F 0.9935 0.7500 0.9824  1 As 1.76


La10Bi8O27: relaxed, meta-GGA r2SCAN.

Total magnetization in μB/f.u.: 0.00
SG: P1 (1)
Crystal system: triclinic
Calculated formation energy in eV/atom: -2.69
E in eV per atom: -23.286

Cell: 8.2103 10.3900 10.4095 Å, 70.89 78.58 78.58°
With the nearest neighbours (Å) after each atom.
Element x y z (fractional)
La 0.0000 0.0000 0.0000  7 O 2.39-2.55
La 0.0011 0.6818 0.3098  4 O 2.29-2.53
La 0.1713 0.6751 0.6377  5 O 2.36-2.59
La 0.1748 0.3401 0.9495  7 O 2.39-2.53
La 0.3387 0.6751 0.9701  7 O 2.51-2.71
La 0.4966 0.7020 0.3038  7 O 2.43-2.51
La 0.5014 0.0095 0.9672  5 O 2.33-2.61
La 0.6754 0.6446 0.6429  7 O 2.38-2.53
La 0.6787 0.3334 0.9505  5 O 2.30-2.50
La 0.8350 0.6771 0.9686  7 O 2.51-2.73
Bi 0.0079 0.3405 0.6420  4 O 2.14-2.25
Bi 0.1713 0.0034 0.3035  4 O 2.14-2.26
Bi 0.3331 0.3628 0.2873  3 O 2.05-2.10
Bi 0.3375 0.9804 0.6631  4 O 2.10-2.26
Bi 0.4983 0.3415 0.6407  4 O 2.14-2.27
Bi 0.6716 0.0017 0.3031  4 O 2.14-2.22
Bi 0.8375 0.3636 0.2895  3 O 2.05-2.10
Bi 0.8370 0.9819 0.6638  4 O 2.10-2.26
O 0.0431 0.7498 0.0748  4 La 2.29-2.55
O 0.0696 0.3861 0.3291  2 Bi 2.10
O 0.1148 0.9220 0.6135  2 Bi 2.24-2.25, 1 La 2.45
O 0.1300 0.5863 0.8797  4 La 2.36-2.55
O 0.2029 0.7837 0.3806  1 Bi 2.14
O 0.2105 0.0908 0.0803  1 Bi 2.18
O 0.2247 0.3947 0.6984  2 Bi 2.20-2.21, 1 La 2.45
O 0.2652 0.9380 0.8762  1 Bi 2.10
O 0.3160 0.5709 0.2472  1 Bi 2.05
O 0.3741 0.3866 0.0807  1 Bi 2.05
O 0.4105 0.7668 0.7076  1 Bi 2.10
O 0.4481 0.9504 0.2544  2 Bi 2.20-2.23, 1 La 2.43
O 0.4641 0.5658 0.5509  1 Bi 2.19
O 0.4672 0.2663 0.8600  1 Bi 2.14
O 0.5415 0.7701 0.0542  4 La 2.33-2.51
O 0.5582 0.0390 0.7201  2 Bi 2.26, 1 La 2.45
O 0.6342 0.5693 0.8937  4 La 2.30-2.55
O 0.6996 0.0895 0.0845  1 Bi 2.14
O 0.7079 0.7822 0.3927  1 Bi 2.15
O 0.7282 0.3912 0.6942  2 Bi 2.25-2.27, 2 La 2.48-2.50
O 0.7724 0.5723 0.2473  1 Bi 2.05
O 0.8239 0.9388 0.8771  1 Bi 2.10
O 0.8474 0.7688 0.7059  1 Bi 2.10
O 0.8878 0.3824 0.0837  1 Bi 2.05
O 0.9468 0.9460 0.2509  2 Bi 2.22-2.26, 1 La 2.45
O 0.9693 0.2519 0.8638  1 Bi 2.17
O 0.9744 0.5600 0.5578  1 Bi 2.14


NaNiO2: relaxed, meta-GGA r2SCAN.

Total magnetization in μB/f.u.: 1.00
Calculated formation energy in eV/atom: -1.42
E in eV per atom: -8.298

Cell: 3.0009 8.3432 6.2375 Å, 85.47 90.00 90.01°
With the nearest neighbours (Å) after each atom.
Element x y z (fractional)
Na 0.9999 0.4999 0.0001  6 O 2.26-2.43
Na 0.4999 0.7501 0.7499  6 O 2.26-2.43
Na 0.9999 0.9999 0.5001  6 O 2.26-2.43
Na 0.4999 0.2500 0.2499  6 O 2.26-2.43
Ni 0.0000 0.5000 0.5000  6 O 1.91-2.12
Ni 0.5000 0.7500 0.2499  6 O 1.91-2.12
Ni 0.0000 0.0000 0.0001  6 O 1.91-2.12
Ni 0.5000 0.2500 0.7500  6 O 1.91-2.12
O 0.0442 0.2716 0.5340  3 Ni 1.91-2.12
O 0.4558 0.5216 0.2841  3 Ni 1.91-2.12
O 0.0442 0.7716 0.0340  3 Ni 1.91-2.12
O 0.4558 0.0216 0.7841  3 Ni 1.91-2.12
O 0.9558 0.7284 0.4659  3 Ni 1.91-2.12
O 0.5442 0.9784 0.2160  3 Ni 1.91-2.12
O 0.9559 0.2284 0.9660  3 Ni 1.91-2.12
O 0.5443 0.4784 0.7160  3 Ni 1.91-2.12


BaInF5: relaxed, meta-GGA r2SCAN.

Total magnetization in μB/f.u.: 0.00
SG: P2_1/c (14)
Crystal system: monoclinic
Calculated formation energy in eV/atom: -3.38
E in eV per atom: -12.623

Cell: 7.6090 7.7151 15.6489 Å, 90.00 95.56 90.00°
With the nearest neighbours (Å) after each atom.
Element x y z (fractional)
Ba 0.0026 0.1481 0.3629  9 F 2.64-2.96
Ba 0.0026 0.3519 0.8629  9 F 2.64-2.96
Ba 0.3018 0.6554 0.4132  7 F 2.66-2.73
Ba 0.3018 0.8446 0.9132  7 F 2.66-2.73
Ba 0.6982 0.1554 0.0868  7 F 2.66-2.73
Ba 0.6982 0.3446 0.5868  7 F 2.66-2.73
Ba 0.9974 0.6481 0.1371  9 F 2.64-2.96
Ba 0.9974 0.8519 0.6371  9 F 2.64-2.96
In 0.1933 0.1812 0.1247  6 F 2.05-2.11
In 0.1933 0.3188 0.6247  6 F 2.05-2.11
In 0.4946 0.1209 0.3376  6 F 2.06-2.16
In 0.4946 0.3791 0.8376  6 F 2.06-2.16
In 0.5054 0.6209 0.1624  6 F 2.06-2.16
In 0.5054 0.8791 0.6624  6 F 2.06-2.16
In 0.8067 0.6812 0.3753  6 F 2.05-2.11
In 0.8067 0.8188 0.8753  6 F 2.05-2.11
F 0.0086 0.5162 0.6044  1 In 2.08
F 0.0086 0.9838 0.1044  1 In 2.08
F 0.0253 0.1996 0.7052  1 In 2.09
F 0.0253 0.3004 0.2052  1 In 2.09
F 0.0378 0.1706 0.5361  1 In 2.08
F 0.0378 0.3294 0.0361  1 In 2.08
F 0.3105 0.6608 0.2430  1 In 2.06
F 0.3105 0.8392 0.7430  1 In 2.06
F 0.3114 0.9997 0.4079  1 In 2.08
F 0.3114 0.5003 0.9079  1 In 2.08
F 0.3113 0.7013 0.0696  1 In 2.06
F 0.3113 0.7987 0.5696  1 In 2.06
F 0.3176 0.0451 0.2299  2 In 2.10-2.13
F 0.3176 0.4549 0.7299  2 In 2.10-2.13
F 0.3301 0.1695 0.8474  1 In 2.06
F 0.3301 0.3305 0.3474  1 In 2.06
F 0.3559 0.0830 0.0392  1 In 2.05
F 0.3559 0.4170 0.5392  1 In 2.05
F 0.3989 0.1379 0.6504  2 In 2.11-2.16
F 0.3989 0.3621 0.1504  2 In 2.11-2.16
F 0.6011 0.6379 0.8496  2 In 2.11-2.16
F 0.6011 0.8621 0.3496  2 In 2.11-2.16
F 0.6441 0.5830 0.4608  1 In 2.05
F 0.6441 0.9170 0.9608  1 In 2.05
F 0.6699 0.6695 0.6526  1 In 2.06
F 0.6699 0.8305 0.1526  1 In 2.06
F 0.6824 0.5451 0.2701  2 In 2.10-2.13
F 0.6824 0.9549 0.7701  2 In 2.10-2.13
F 0.6886 0.0003 0.5921  1 In 2.08
F 0.6887 0.2013 0.4304  1 In 2.06
F 0.6887 0.2987 0.9304  1 In 2.06
F 0.6886 0.4997 0.0921  1 In 2.08
F 0.6895 0.1608 0.2570  1 In 2.06
F 0.6895 0.3392 0.7570  1 In 2.06
F 0.9622 0.6706 0.9639  1 In 2.08
F 0.9622 0.8294 0.4639  1 In 2.08
F 0.9747 0.6996 0.7948  1 In 2.09
F 0.9747 0.8004 0.2948  1 In 2.09
F 0.9914 0.0162 0.8956  1 In 2.08
F 0.9914 0.4838 0.3956  1 In 2.08


Sr2NiSe2Cl2O6: relaxed, meta-GGA r2SCAN.

Total magnetization in μB/f.u.: 0.00
Calculated formation energy in eV/atom: -1.84
E in eV per atom: -10.997

Cell: 5.3434 12.9399 12.1607 Å, 90.00 92.80 90.00°
With the nearest neighbours (Å) after each atom.
Element x y z (fractional)
Sr 0.4840 0.3996 0.2666  5 O 2.52-2.76
Sr 0.4841 0.8996 0.2666  5 O 2.52-2.76
Sr 0.5160 0.1004 0.7334  5 O 2.52-2.76
Sr 0.5160 0.6004 0.7334  5 O 2.52-2.76
Sr 0.0160 0.1496 0.2334  5 O 2.52-2.76
Sr 0.0161 0.6496 0.2334  5 O 2.52-2.76
Sr 0.9839 0.3504 0.7666  5 O 2.52-2.76
Sr 0.9840 0.8505 0.7666  5 O 2.52-2.76
Ni 0.5000 0.7500 0.0000  4 O 2.06-2.07
Ni 0.0000 0.5000 0.5000  4 O 2.06-2.07
Ni 0.5000 0.2500 0.0000  4 O 2.06-2.07
Ni 0.0000 0.0000 0.5000  4 O 2.06-2.07
Se 0.5061 0.1299 0.4285  3 O 1.68-1.73
Se 0.5062 0.6299 0.4285  3 O 1.68-1.73
Se 0.0062 0.1201 0.9285  3 O 1.68-1.73
Se 0.0062 0.6201 0.9285  3 O 1.68-1.73
Se 0.9938 0.3799 0.0715  3 O 1.68-1.73
Se 0.9938 0.8799 0.0715  3 O 1.68-1.73
Se 0.4938 0.3701 0.5715  3 O 1.68-1.73
Se 0.4939 0.8701 0.5715  3 O 1.68-1.73
Cl 0.4594 0.4106 0.8965  1 Ni 2.43
Cl 0.4594 0.9106 0.8965  1 Ni 2.43
Cl 0.5406 0.0894 0.1034  1 Ni 2.43
Cl 0.5406 0.5894 0.1035  1 Ni 2.43
Cl 0.0406 0.1606 0.6034  1 Ni 2.43
Cl 0.0406 0.6606 0.6034  1 Ni 2.43
Cl 0.9594 0.3394 0.3965  1 Ni 2.43
Cl 0.9594 0.8394 0.3965  1 Ni 2.43
O 0.2560 0.1878 0.8801  1 Se 1.72
O 0.2561 0.6878 0.8801  1 Se 1.72
O 0.7439 0.3122 0.1199  1 Se 1.72
O 0.7440 0.8122 0.1199  1 Se 1.72
O 0.7561 0.0622 0.3801  1 Se 1.72
O 0.7561 0.5622 0.3801  1 Se 1.72
O 0.2439 0.4378 0.6199  1 Se 1.72
O 0.2440 0.9378 0.6199  1 Se 1.72
O 0.2774 0.0386 0.3950  1 Se 1.73
O 0.2775 0.5386 0.3950  1 Se 1.73
O 0.7774 0.2114 0.8950  1 Se 1.73
O 0.7774 0.7114 0.8950  1 Se 1.73
O 0.2226 0.2886 0.1050  1 Se 1.73
O 0.2227 0.7886 0.1050  1 Se 1.73
O 0.7225 0.4614 0.6050  1 Se 1.73
O 0.7226 0.9614 0.6050  1 Se 1.73
O 0.9436 0.0359 0.8255  1 Se 1.68
O 0.9436 0.5359 0.8254  1 Se 1.68
O 0.5564 0.2859 0.6746  1 Se 1.68
O 0.5565 0.7859 0.6746  1 Se 1.68
O 0.4435 0.2141 0.3254  1 Se 1.68
O 0.4436 0.7141 0.3254  1 Se 1.68
O 0.0564 0.4641 0.1745  1 Se 1.68
O 0.0564 0.9641 0.1746  1 Se 1.68


HfCr2: relaxed, meta-GGA r2SCAN.

Total magnetization in μB/f.u.: 0.00
SG: P6_3/mmc (194)
Crystal system: hexagonal
Calculated formation energy in eV/atom: 0.10
E in eV per atom: -24.996

Cell: 5.0209 5.0209 8.0377 Å, 90.00 90.00 120.00°
With the nearest neighbours (Å) after each atom.
Element x y z (fractional)
Hf 0.3333 0.6667 0.0602  12 Cr 2.88-2.94, 4 Hf 3.05-3.06
Hf 0.3333 0.6667 0.4398  12 Cr 2.88-2.94, 4 Hf 3.05-3.06
Hf 0.6667 0.3333 0.5602  12 Cr 2.88-2.94, 4 Hf 3.05-3.06
Hf 0.6667 0.3333 0.9398  12 Cr 2.88-2.94, 4 Hf 3.05-3.06
Cr 0.0000 0.0000 0.0000  6 Cr 2.49
Cr 0.0000 0.0000 0.5000  6 Cr 2.49
Cr 0.1685 0.3369 0.7500  6 Cr 2.48-2.54
Cr 0.1685 0.8315 0.7500  6 Cr 2.48-2.54
Cr 0.3369 0.1685 0.2500  6 Cr 2.48-2.54
Cr 0.6631 0.8315 0.7500  6 Cr 2.48-2.54
Cr 0.8315 0.1685 0.2500  6 Cr 2.48-2.54
Cr 0.8315 0.6631 0.2500  6 Cr 2.48-2.54


Which of these has the highest calculated formation energy? HfCr2


Please write out number 4 again, unchanged.
BaInF5: relaxed, meta-GGA r2SCAN.

Total magnetization in μB/f.u.: 0.00
SG: P2_1/c (14)
Crystal system: monoclinic
Calculated formation energy in eV/atom: -3.38
E in eV per atom: -12.623

Cell: 7.6090 7.7151 15.6489 Å, 90.00 95.56 90.00°
With the nearest neighbours (Å) after each atom.
Element x y z (fractional)
Ba 0.0026 0.1481 0.3629  9 F 2.64-2.96
Ba 0.0026 0.3519 0.8629  9 F 2.64-2.96
Ba 0.3018 0.6554 0.4132  7 F 2.66-2.73
Ba 0.3018 0.8446 0.9132  7 F 2.66-2.73
Ba 0.6982 0.1554 0.0868  7 F 2.66-2.73
Ba 0.6982 0.3446 0.5868  7 F 2.66-2.73
Ba 0.9974 0.6481 0.1371  9 F 2.64-2.96
Ba 0.9974 0.8519 0.6371  9 F 2.64-2.96
In 0.1933 0.1812 0.1247  6 F 2.05-2.11
In 0.1933 0.3188 0.6247  6 F 2.05-2.11
In 0.4946 0.1209 0.3376  6 F 2.06-2.16
In 0.4946 0.3791 0.8376  6 F 2.06-2.16
In 0.5054 0.6209 0.1624  6 F 2.06-2.16
In 0.5054 0.8791 0.6624  6 F 2.06-2.16
In 0.8067 0.6812 0.3753  6 F 2.05-2.11
In 0.8067 0.8188 0.8753  6 F 2.05-2.11
F 0.0086 0.5162 0.6044  1 In 2.08
F 0.0086 0.9838 0.1044  1 In 2.08
F 0.0253 0.1996 0.7052  1 In 2.09
F 0.0253 0.3004 0.2052  1 In 2.09
F 0.0378 0.1706 0.5361  1 In 2.08
F 0.0378 0.3294 0.0361  1 In 2.08
F 0.3105 0.6608 0.2430  1 In 2.06
F 0.3105 0.8392 0.7430  1 In 2.06
F 0.3114 0.9997 0.4079  1 In 2.08
F 0.3114 0.5003 0.9079  1 In 2.08
F 0.3113 0.7013 0.0696  1 In 2.06
F 0.3113 0.7987 0.5696  1 In 2.06
F 0.3176 0.0451 0.2299  2 In 2.10-2.13
F 0.3176 0.4549 0.7299  2 In 2.10-2.13
F 0.3301 0.1695 0.8474  1 In 2.06
F 0.3301 0.3305 0.3474  1 In 2.06
F 0.3559 0.0830 0.0392  1 In 2.05
F 0.3559 0.4170 0.5392  1 In 2.05
F 0.3989 0.1379 0.6504  2 In 2.11-2.16
F 0.3989 0.3621 0.1504  2 In 2.11-2.16
F 0.6011 0.6379 0.8496  2 In 2.11-2.16
F 0.6011 0.8621 0.3496  2 In 2.11-2.16
F 0.6441 0.5830 0.4608  1 In 2.05
F 0.6441 0.9170 0.9608  1 In 2.05
F 0.6699 0.6695 0.6526  1 In 2.06
F 0.6699 0.8305 0.1526  1 In 2.06
F 0.6824 0.5451 0.2701  2 In 2.10-2.13
F 0.6824 0.9549 0.7701  2 In 2.10-2.13
F 0.6886 0.0003 0.5921  1 In 2.08
F 0.6887 0.2013 0.4304  1 In 2.06
F 0.6887 0.2987 0.9304  1 In 2.06
F 0.6886 0.4997 0.0921  1 In 2.08
F 0.6895 0.1608 0.2570  1 In 2.06
F 0.6895 0.3392 0.7570  1 In 2.06
F 0.9622 0.6706 0.9639  1 In 2.08
F 0.9622 0.8294 0.4639  1 In 2.08
F 0.9747 0.6996 0.7948  1 In 2.09
F 0.9747 0.8004 0.2948  1 In 2.09
F 0.9914 0.0162 0.8956  1 In 2.08
F 0.9914 0.4838 0.3956  1 In 2.08


Look up the total magnetization of the second one. 0.00 μB/f.u.


The highest total magnetization belongs to which entry? NaNiO2